Record 1
A plane-wave DFT calculation with r2SCAN was carried out for a relaxed SmSi2Ni2 crystal.

Cell: 3.9968 3.9968 5.5464 Å, 111.12 111.12 90.00°
Closest atoms and distances in Å follow each position.
Sites, in units of the cell vectors:
Sm 0.0000 0.0000 0.0000  8 Si 3.09, 8 Ni 3.11
Ni 0.2500 0.7500 0.5000  4 Si 2.30
Ni 0.7500 0.2500 0.5000  4 Si 2.30
Si 0.3702 0.3702 0.7404  4 Ni 2.30, 1 Si 2.48
Si 0.6298 0.6298 0.2596  4 Ni 2.30, 1 Si 2.48

Results
Symmetry ... I4/mmm



Record 2
A plane-wave DFT calculation with r2SCAN was carried out for a relaxed Dy crystal.

Cell: 8.7625 8.7625 8.7625 Å, 23.62 23.62 23.62°
Closest atoms and distances in Å follow each position.
Sites, in units of the cell vectors:
Dy 0.0000 0.0000 0.0000  12 Dy 3.52-3.59
Dy 0.7780 0.7780 0.7780  12 Dy 3.51-3.59
Dy 0.2220 0.2220 0.2220  12 Dy 3.51-3.59

Results
Symmetry ... R-3m
ΔE to the lowest computed polymorph ... 1 kJ/mol of formula units



Record 3
A plane-wave DFT calculation with r2SCAN was carried out for a relaxed Sb crystal.

Cell: 4.5812 4.5812 4.5812 Å, 56.75 56.75 56.75°
Closest atoms and distances in Å follow each position.
Sites, in units of the cell vectors:
Sb 0.2683 0.2683 0.2683  3 Sb 2.93
Sb 0.7317 0.7317 0.7317  3 Sb 2.93

Results
Symmetry ... R-3m
ΔE to the lowest computed polymorph ... 0 kJ/mol of formula units



Record 4
A plane-wave DFT calculation with r2SCAN was carried out for a relaxed V4O3F9 crystal.

Cell: 5.2784 5.2784 8.8229 Å, 73.97 73.97 57.71°
Closest atoms and distances in Å follow each position.
Sites, in units of the cell vectors:
O 0.8457 0.1704 0.2058  2 V 1.68-1.86
O 0.8296 0.1543 0.7942  2 V 1.68-1.86
O 0.7126 0.2874 0.5000  2 V 1.76
V 0.5279 0.2487 0.3770  2 O 1.76-1.86, 3 F 1.92-1.96
V 0.9766 0.7844 0.8711  1 O 1.68
V 0.2156 0.0234 0.1289  1 O 1.68
V 0.7513 0.4721 0.6230  2 O 1.76-1.86, 3 F 1.92-1.96
F 0.7724 0.7081 0.7514  2 V 1.94-1.96
F 0.2256 0.7744 0.0000  2 V 1.93
F 0.3217 0.6755 0.6985  2 V 1.92-1.95
F 0.2919 0.2276 0.2486  2 V 1.94-1.96
F 0.1775 0.3172 0.5502  2 V 1.92-1.98
F 0.1787 0.3343 0.9462  2 V 1.92-2.01
F 0.3245 0.6783 0.3015  2 V 1.92-1.95
F 0.6828 0.8225 0.4498  2 V 1.92-1.98
F 0.6657 0.8213 0.0538  2 V 1.92-2.01

Results
Symmetry ... C2
ΔE to the lowest computed polymorph ... 1 kJ/mol of formula units



| no. | total DFT energy (no corrections) (eV per cell) |
| --- | --- |
| 1 | -75.47 |
| 2 | -95.91 |
| 3 | -51.41 |
| 4 | -151.11 |